Record 1
SbPd3 | meta-GGA r2SCAN | optimized geometry

The structure in POSCAR format:
```
SbPd3
1.0
0.000 3.194 3.194
3.194 0.000 3.194
3.194 3.194 0.000
Sb Pd
1 3
direct
0.000 0.000 0.000
0.250 0.250 0.250
0.500 0.500 0.500
0.750 0.750 0.750
```

Values from the calculation:
* energy of formation: -0.3700 eV/atom
* size of the total moment: 0.0 μB/cell
* theoretical density: 11.24 g/cm3


Record 2
Sb3Pd8 | meta-GGA r2SCAN | optimized geometry

The structure in POSCAR format:
```
Sb3Pd8
1.0
3.833 2.213 14.495
-3.833 2.213 14.495
0.000 -4.426 14.495
Sb Pd
12 32
direct
0.000 0.000 0.000
0.068 0.750 0.432
0.158 0.158 0.158
0.250 0.568 0.932
0.342 0.342 0.342
0.432 0.068 0.750
0.500 0.500 0.500
0.568 0.932 0.250
0.658 0.658 0.658
0.750 0.432 0.068
0.842 0.842 0.842
0.932 0.250 0.568
0.012 0.293 0.643
0.061 0.061 0.061
0.116 0.371 0.856
0.129 0.384 0.644
0.143 0.793 0.512
0.144 0.884 0.629
0.207 0.488 0.857
0.219 0.219 0.219
0.281 0.281 0.281
0.293 0.643 0.012
0.356 0.871 0.616
0.357 0.988 0.707
0.371 0.856 0.116
0.384 0.644 0.129
0.439 0.439 0.439
0.488 0.857 0.207
0.512 0.143 0.793
0.561 0.561 0.561
0.616 0.356 0.871
0.629 0.144 0.884
0.643 0.012 0.293
0.644 0.129 0.384
0.707 0.357 0.988
0.719 0.719 0.719
0.781 0.781 0.781
0.793 0.512 0.143
0.856 0.116 0.371
0.857 0.207 0.488
0.871 0.616 0.356
0.884 0.629 0.144
0.939 0.939 0.939
0.988 0.707 0.357
```

Values from the calculation:
* energy of formation: -0.4478 eV/atom
* size of the total moment: 0.0 μB/cell
* theoretical density: 10.95 g/cm3


Which formula does entry 2 have? Sb3Pd8